Record 1
This record from the Materials Project database describes crystalline PrGaAu2 at its relaxed geometry. The functional is GGA-PBE.

abc: 5.006 5.006 5.006
angles: 60.00 60.00 60.00
Element x y z (fractional)
Pr 0.000 0.000 0.000
Ga 0.500 0.500 0.500
Au 0.750 0.750 0.750
Au 0.250 0.250 0.250

Results
magnetization	0.000	μB per atom
E	-16.76	eV per cell
space-group type	Fm-3m (225)

***

Record 2
This record from the Materials Project database describes crystalline Ba6Tb2Al4O15 at its relaxed geometry. The functional is GGA-PBE.

abc: 5.973 7.953 18.553
angles: 88.47 90.00 90.00
Element x y z (fractional)
Ba 0.758 0.502 0.082
Ba 0.242 0.498 0.918
Ba 0.758 0.498 0.418
Ba 0.242 0.502 0.582
Ba 0.745 0.969 0.090
Ba 0.255 0.031 0.910
Ba 0.745 0.031 0.410
Ba 0.255 0.969 0.590
Ba 0.725 0.000 0.750
Ba 0.275 0.000 0.250
Ba 0.670 0.500 0.750
Ba 0.330 0.500 0.250
Tb 0.746 0.751 0.910
Tb 0.254 0.249 0.090
Tb 0.746 0.249 0.590
Tb 0.254 0.751 0.410
Al 0.751 0.752 0.556
Al 0.249 0.248 0.444
Al 0.751 0.248 0.944
Al 0.249 0.752 0.056
Al 0.772 0.779 0.267
Al 0.228 0.221 0.733
Al 0.772 0.221 0.233
Al 0.228 0.779 0.767
O 0.210 0.000 0.750
O 0.790 0.000 0.250
O 0.495 0.764 0.001
O 0.505 0.236 0.999
O 0.495 0.236 0.499
O 0.505 0.764 0.501
O 0.760 0.943 0.606
O 0.240 0.057 0.394
O 0.760 0.057 0.894
O 0.240 0.943 0.106
O 0.010 0.762 0.997
O 0.990 0.238 0.003
O 0.010 0.238 0.503
O 0.990 0.762 0.497
O 0.314 0.693 0.687
O 0.686 0.307 0.313
O 0.314 0.307 0.813
O 0.686 0.693 0.187
O 0.449 0.753 0.833
O 0.551 0.247 0.167
O 0.449 0.247 0.667
O 0.551 0.753 0.333
O 0.970 0.730 0.811
O 0.030 0.270 0.189
O 0.970 0.270 0.689
O 0.030 0.730 0.311
O 0.754 0.540 0.592
O 0.246 0.460 0.408
O 0.754 0.460 0.908
O 0.246 0.540 0.092

Results
magnetization	0.000	μB per atom
corrected total energy (MP2020 scheme)	-7.483	eV per atom
space-group type	P2/c (13)

***

Record 3
This record from the Materials Project database describes crystalline PrZnIn at its relaxed geometry. The functional is GGA-PBE.

abc: 4.758 4.758 7.749
angles: 90.00 90.00 120.00
Element x y z (fractional)
Pr 0.000 0.000 0.500
Pr 0.000 0.000 0.000
Zn 0.333 0.667 0.750
Zn 0.667 0.333 0.250
In 0.333 0.667 0.250
In 0.667 0.333 0.750

Results
E	-20.26	eV per cell
space-group type	P6_3/mmc (194)

***

Record 4
This record from the Materials Project database describes crystalline K2SiP2 at its relaxed geometry. The functional is GGA-PBE.

abc: 7.997 7.997 7.997
angles: 134.79 128.64 70.79
Element x y z (fractional)
K 0.308 0.146 0.162
K 0.692 0.854 0.838
K 0.016 0.354 0.662
K 0.984 0.646 0.338
Si 0.500 0.250 0.750
Si 0.500 0.750 0.250
P 0.433 0.596 0.836
P 0.240 0.904 0.336
P 0.760 0.096 0.664
P 0.567 0.404 0.164

Results
E	-41.78	eV per cell
space-group type	Ibam (72)